(1)
A relaxed Li2FeCo3O8 crystal, computed with PBE with a Hubbard U.

Properties
The space group is P1 (1). The value obtained for the final energy is -5.8625 eV per atom. The total magnetization comes out at 5.50 μB/f.u.

Unit cell a=8.134 b=8.099 c=8.084 alpha=89.87 beta=89.89 gamma=89.93
Atoms (fractional coordinates):
Co (0.376, 0.874, 0.125)
Co (0.878, 0.627, 0.876)
Co (0.876, 0.878, 0.626)
Co (0.373, 0.622, 0.372)
Co (0.372, 0.373, 0.623)
Co (0.625, 0.124, 0.126)
Co (0.874, 0.124, 0.378)
Co (0.124, 0.127, 0.625)
Co (0.628, 0.875, 0.878)
Co (0.126, 0.624, 0.125)
Co (0.622, 0.372, 0.375)
Co (0.125, 0.377, 0.873)
Li (0.248, 0.749, 0.747)
Li (0.000, 0.999, 0.002)
Li (0.498, 0.001, 0.503)
Li (0.750, 0.248, 0.748)
Li (0.002, 0.502, 0.504)
Li (0.499, 0.502, 0.003)
Li (0.250, 0.248, 0.248)
Li (0.750, 0.750, 0.246)
O (0.608, 0.378, 0.604)
O (0.387, 0.385, 0.386)
O (0.108, 0.112, 0.387)
O (0.381, 0.610, 0.603)
O (0.138, 0.363, 0.640)
O (0.390, 0.887, 0.887)
O (0.362, 0.639, 0.141)
O (0.137, 0.142, 0.864)
O (0.359, 0.137, 0.640)
O (0.112, 0.385, 0.108)
O (0.613, 0.110, 0.888)
O (0.605, 0.603, 0.373)
O (0.863, 0.863, 0.863)
O (0.113, 0.889, 0.607)
O (0.359, 0.363, 0.861)
O (0.891, 0.388, 0.887)
O (0.638, 0.362, 0.141)
O (0.859, 0.360, 0.366)
O (0.138, 0.862, 0.143)
O (0.113, 0.610, 0.887)
O (0.641, 0.874, 0.646)
O (0.639, 0.139, 0.363)
O (0.142, 0.638, 0.364)
O (0.890, 0.116, 0.608)
O (0.862, 0.138, 0.142)
O (0.891, 0.609, 0.114)
O (0.641, 0.645, 0.875)
O (0.888, 0.892, 0.384)
O (0.362, 0.859, 0.363)
O (0.390, 0.112, 0.110)
O (0.611, 0.888, 0.111)
O (0.869, 0.642, 0.639)
Fe (0.628, 0.626, 0.627)
Fe (0.126, 0.875, 0.375)
Fe (0.375, 0.124, 0.875)
Fe (0.875, 0.376, 0.125)

(2)
A relaxed LiVP3O9 crystal, computed with PBE with a Hubbard U.

Properties
The space group is Pnma (62). The value obtained for the final energy is -7.1505 eV per atom. The total magnetization comes out at 3.00 μB/f.u.

Unit cell a=7.369 b=9.242 c=12.066 alpha=90.00 beta=90.00 gamma=90.00
Atoms (fractional coordinates):
O (0.444, 0.116, 0.118)
O (0.022, 0.349, 0.240)
O (0.478, 0.849, 0.260)
O (0.750, 0.142, 0.943)
O (0.978, 0.651, 0.760)
O (0.419, 0.655, 0.961)
O (0.056, 0.616, 0.382)
O (0.478, 0.349, 0.240)
O (0.750, 0.902, 0.639)
O (0.944, 0.884, 0.882)
O (0.056, 0.116, 0.118)
O (0.081, 0.655, 0.961)
O (0.978, 0.151, 0.740)
O (0.919, 0.345, 0.039)
O (0.522, 0.651, 0.760)
O (0.944, 0.384, 0.618)
O (0.419, 0.155, 0.539)
O (0.750, 0.696, 0.314)
O (0.250, 0.098, 0.361)
O (0.250, 0.358, 0.443)
O (0.250, 0.598, 0.139)
O (0.556, 0.384, 0.618)
O (0.022, 0.849, 0.260)
O (0.750, 0.642, 0.557)
O (0.581, 0.845, 0.461)
O (0.250, 0.858, 0.057)
O (0.250, 0.804, 0.814)
O (0.750, 0.196, 0.186)
O (0.250, 0.304, 0.686)
O (0.522, 0.151, 0.740)
O (0.750, 0.402, 0.861)
O (0.919, 0.845, 0.461)
O (0.444, 0.616, 0.382)
O (0.081, 0.155, 0.539)
O (0.581, 0.345, 0.039)
O (0.556, 0.884, 0.882)
P (0.453, 0.749, 0.848)
P (0.750, 0.305, 0.958)
P (0.953, 0.251, 0.152)
P (0.250, 0.195, 0.458)
P (0.250, 0.695, 0.042)
P (0.750, 0.805, 0.542)
P (0.047, 0.749, 0.848)
P (0.547, 0.251, 0.152)
P (0.547, 0.751, 0.348)
P (0.047, 0.249, 0.652)
P (0.453, 0.249, 0.652)
P (0.953, 0.751, 0.348)
V (0.750, 0.519, 0.710)
V (0.250, 0.481, 0.290)
V (0.750, 0.019, 0.790)
V (0.250, 0.981, 0.210)
Li (0.250, 0.532, 0.532)
Li (0.750, 0.968, 0.032)
Li (0.750, 0.468, 0.468)
Li (0.250, 0.032, 0.968)

Number 1: energy relative to the lowest polymorph listed for this composition 0.0289 eV/atom. Number 2: energy relative to the lowest polymorph listed for this composition 0.0529 eV/atom.